## HfTl4Se4 (GGA-PBE)

Data for an optimized crystal structure of HfTl4Se4.

## Properties
Its space group is No. 2. The value obtained for the magnetic moment is 0.00 μB/cell. The calculation puts the energy of formation at -814 kJ/mol of formula units. The volume is 31.1 A^3/atom.

a = 9.549 Å, b = 9.549 Å, c = 16.424 Å
α = 104.26°, β = 104.71°, γ = 90.12°
Atoms (fractional coordinates):
Hf 0.000 0.000 0.000
Hf 0.017 0.184 0.600
Hf 0.174 0.808 0.199
Hf 0.826 0.192 0.801
Hf 0.983 0.816 0.400
Tl 0.048 0.580 0.800
Tl 0.215 0.219 0.400
Tl 0.221 0.586 0.594
Tl 0.222 0.953 0.796
Tl 0.225 0.397 0.992
Tl 0.376 0.596 0.387
Tl 0.388 0.201 0.191
Tl 0.392 0.782 0.003
Tl 0.412 0.966 0.598
Tl 0.421 0.400 0.799
Tl 0.579 0.600 0.201
Tl 0.588 0.034 0.402
Tl 0.608 0.218 0.997
Tl 0.612 0.799 0.809
Tl 0.624 0.404 0.613
Tl 0.775 0.603 0.008
Tl 0.778 0.047 0.204
Tl 0.779 0.414 0.406
Tl 0.785 0.781 0.600
Tl 0.952 0.420 0.200
Se 0.062 0.549 0.401
Se 0.070 0.897 0.578
Se 0.074 0.733 0.020
Se 0.089 0.080 0.178
Se 0.094 0.240 0.776
Se 0.241 0.537 0.192
Se 0.251 0.885 0.377
Se 0.271 0.071 0.996
Se 0.287 0.259 0.603
Se 0.444 0.883 0.199
Se 0.556 0.117 0.801
Se 0.713 0.741 0.397
Se 0.729 0.929 0.004
Se 0.749 0.115 0.623
Se 0.759 0.463 0.808
Se 0.906 0.760 0.224
Se 0.911 0.920 0.822
Se 0.926 0.267 0.980
Se 0.930 0.103 0.422
Se 0.938 0.451 0.599